A relaxed structure of KCoC4O4. Source: the Materials Project database, functional PBE with a Hubbard U.

Output
**Total energy**: -70.28 eV per formula unit

abc: 22.3784 5.7906 14.6410
angles: 90.00 126.56 90.00
With the nearest neighbours (Å) after each atom.
Space group C2/c (No. 15)
Unique sites:
K  0.1729  0.0493  0.0584 [8 per cell]  4 O 2.83-2.93
Co  0.1223  0.2992  0.2556 [8 per cell]  4 C 1.74-1.75
C  0.0380  0.1592  0.1550 [8 per cell]  1 O 1.17
C  0.1063  0.4732  0.3364 [8 per cell]  1 O 1.17
C  0.1438  0.4958  0.1894 [8 per cell]  1 O 1.18
C  0.1875  0.0861  0.3387 [8 per cell]  1 O 1.18
O  0.0190  0.0685  0.4104 [8 per cell]  1 C 1.17
O  0.0951  0.4045  0.8886 [8 per cell]  1 C 1.17
O  0.1577  0.3614  0.6473 [8 per cell]  1 C 1.18
O  0.2290  0.0634  0.8965 [8 per cell]  1 C 1.18

---

A relaxed structure of KCoC4O4. Source: the Materials Project database, functional PBE with a Hubbard U.

Output
**Total energy**: -70.26 eV per formula unit

abc: 5.7383 11.3568 12.1544
angles: 97.83 103.54 104.58
With the nearest neighbours (Å) after each atom.
Space group P1 (No. 1)
Unique sites:
K  0.0000  0.0000  0.0000 [1 per cell]  4 O 2.76-2.85
K  0.1237  0.5719  0.8804 [1 per cell]  4 O 2.74-2.87
K  0.3937  0.4992  0.4972 [1 per cell]  4 O 2.74-2.87
K  0.7221  0.0757  0.3860 [1 per cell]  4 O 2.75-2.84
Co  0.3901  0.7957  0.6972 [1 per cell]  4 C 1.74-1.75
Co  0.4921  0.2966  0.1970 [1 per cell]  4 C 1.73-1.75
Co  0.6297  0.2757  0.6852 [1 per cell]  4 C 1.74-1.75
Co  0.7244  0.7770  0.1859 [1 per cell]  4 C 1.74-1.75
C  0.0137  0.8871  0.2520 [1 per cell]  1 O 1.18
C  0.1025  0.6853  0.6292 [1 per cell]  1 O 1.18
C  0.2890  0.2480  0.2785 [1 per cell]  1 O 1.18
C  0.3095  0.9097  0.7784 [1 per cell]  1 O 1.17
C  0.3351  0.3665  0.0959 [1 per cell]  1 O 1.17
C  0.3559  0.1610  0.6043 [1 per cell]  1 O 1.17
C  0.4903  0.8239  0.1011 [1 per cell]  1 O 1.18
C  0.5180  0.8655  0.5966 [1 per cell]  1 O 1.17
C  0.5209  0.3864  0.7536 [1 per cell]  1 O 1.18
C  0.6009  0.7070  0.2876 [1 per cell]  1 O 1.17
C  0.6028  0.1853  0.1308 [1 per cell]  1 O 1.18
C  0.6244  0.7475  0.7804 [1 per cell]  1 O 1.18
C  0.7670  0.4097  0.2799 [1 per cell]  1 O 1.17
C  0.7853  0.2061  0.7870 [1 per cell]  1 O 1.17
C  0.7968  0.6611  0.1033 [1 per cell]  1 O 1.17
C  0.8229  0.3227  0.5989 [1 per cell]  1 O 1.18
O  0.1508  0.2212  0.3356 [1 per cell]  1 C 1.18
O  0.1678  0.0853  0.5513 [1 per cell]  1 C 1.17
O  0.2171  0.9566  0.2934 [1 per cell]  1 C 1.18
O  0.2282  0.4152  0.0307 [1 per cell]  1 C 1.17
O  0.2487  0.9863  0.8297 [1 per cell]  1 C 1.17
O  0.3211  0.8465  0.0402 [1 per cell]  1 C 1.18
O  0.4330  0.4568  0.7974 [1 per cell]  1 C 1.18
O  0.5163  0.6546  0.3525 [1 per cell]  1 C 1.17
O  0.6078  0.9154  0.5317 [1 per cell]  1 C 1.17
O  0.6923  0.1143  0.0889 [1 per cell]  1 C 1.18
O  0.7921  0.7208  0.8378 [1 per cell]  1 C 1.18
O  0.8515  0.5833  0.0500 [1 per cell]  1 C 1.17
O  0.8786  0.1543  0.8536 [1 per cell]  1 C 1.17
O  0.8994  0.6165  0.5856 [1 per cell]  1 C 1.18
O  0.9551  0.3463  0.5386 [1 per cell]  1 C 1.18
O  0.9566  0.4850  0.3321 [1 per cell]  1 C 1.17

---

A relaxed structure of K3CoPCO7. Source: the Materials Project database, functional PBE with a Hubbard U.

Output
**Polymorph energy (0 for the lowest one)**: 1 meV per atom

abc: 6.9844 9.5913 11.2947
angles: 89.98 89.97 89.95
With the nearest neighbours (Å) after each atom.
Space group P1 (No. 1)
Unique sites:
K  0.0000  0.0000  0.0000 [1 per cell]  7 O 2.68-2.91
K  0.9997  0.0007  0.5006 [1 per cell]  7 O 2.68-2.89
K  0.0202  0.5786  0.7430 [1 per cell]  7 O 2.70-2.89
K  0.0212  0.5768  0.2463 [1 per cell]  7 O 2.68-2.91
K  0.2591  0.3603  0.9943 [1 per cell]  6 O 2.74-2.85
K  0.2601  0.3611  0.4944 [1 per cell]  6 O 2.75-2.86
K  0.4987  0.5769  0.2448 [1 per cell]  7 O 2.69-2.89
K  0.4997  0.5780  0.7459 [1 per cell]  7 O 2.69-2.90
K  0.5209  0.0030  0.5012 [1 per cell]  7 O 2.68-2.88
K  0.5218  0.0004  0.0005 [1 per cell]  7 O 2.68-2.90
K  0.7601  0.2175  0.2510 [1 per cell]  6 O 2.73-2.85
K  0.7618  0.2187  0.7505 [1 per cell]  6 O 2.74-2.86
Co  0.2611  0.9379  0.2531 [1 per cell]  6 O 2.07-2.24
Co  0.2605  0.9376  0.7529 [1 per cell]  6 O 2.06-2.24
Co  0.7523  0.6439  0.4914 [1 per cell]  5 O 2.05-2.23
Co  0.7620  0.6396  0.9929 [1 per cell]  6 O 2.07-2.25
P  0.2604  0.7096  0.5059 [1 per cell]  4 O 1.55-1.57
P  0.2610  0.7090  0.0062 [1 per cell]  4 O 1.55-1.56
P  0.7603  0.8692  0.7402 [1 per cell]  4 O 1.55-1.56
P  0.7610  0.8685  0.2394 [1 per cell]  4 O 1.55-1.56
C  0.2601  0.2050  0.2446 [1 per cell]  3 O 1.29-1.31
C  0.2604  0.2053  0.7447 [1 per cell]  3 O 1.29-1.31
C  0.7595  0.3736  0.5001 [1 per cell]  3 O 1.29-1.31
C  0.7607  0.3727  0.0007 [1 per cell]  3 O 1.29-1.31
O  0.0794  0.6150  0.9930 [1 per cell]  1 P 1.56
O  0.0800  0.6157  0.4917 [1 per cell]  1 P 1.56
O  0.2572  0.1356  0.8444 [1 per cell]  1 C 1.31
O  0.2594  0.3392  0.2421 [1 per cell]  1 C 1.29
O  0.2604  0.1357  0.3446 [1 per cell]  1 C 1.31
O  0.2595  0.7765  0.6322 [1 per cell]  1 P 1.56
O  0.2606  0.1302  0.1474 [1 per cell]  1 C 1.31
O  0.2613  0.3396  0.7426 [1 per cell]  1 C 1.29
O  0.2606  0.7761  0.1322 [1 per cell]  1 P 1.56
O  0.2615  0.8246  0.9099 [1 per cell]  1 P 1.55
O  0.2625  0.8262  0.4105 [1 per cell]  1 P 1.55
O  0.2626  0.1310  0.6473 [1 per cell]  1 C 1.31
O  0.4422  0.6142  0.9936 [1 per cell]  1 P 1.56
O  0.4420  0.6151  0.4932 [1 per cell]  1 P 1.57
O  0.5791  0.9640  0.7517 [1 per cell]  1 P 1.56
O  0.5797  0.9629  0.2528 [1 per cell]  1 P 1.56
O  0.7545  0.4421  0.4000 [1 per cell]  1 C 1.31
O  0.7598  0.2384  0.0028 [1 per cell]  1 C 1.29
O  0.7605  0.4424  0.9009 [1 per cell]  1 C 1.31
O  0.7600  0.7522  0.3353 [1 per cell]  1 P 1.55
O  0.7601  0.7548  0.8372 [1 per cell]  1 P 1.55
O  0.7604  0.7997  0.6149 [1 per cell]  1 P 1.56
O  0.7612  0.2391  0.5029 [1 per cell]  1 C 1.29
O  0.7609  0.8018  0.1134 [1 per cell]  1 P 1.56
O  0.7620  0.4470  0.0981 [1 per cell]  1 C 1.31
O  0.7630  0.4482  0.5973 [1 per cell]  1 C 1.31
O  0.9423  0.9626  0.2529 [1 per cell]  1 P 1.56
O  0.9416  0.9636  0.7519 [1 per cell]  1 P 1.56

---

A relaxed structure of K3CoPCO7. Source: the Materials Project database, functional PBE with a Hubbard U.

Output
**Polymorph energy (0 for the lowest one)**: 4 meV per atom

abc: 5.6382 9.5967 13.9785
angles: 90.07 90.03 90.01
With the nearest neighbours (Å) after each atom.
Space group P1 (No. 1)
Unique sites:
K  0.0000  0.0000  0.0000 [1 per cell]  7 O 2.68-2.90
K  0.0005  0.0024  0.2402 [1 per cell]  7 O 2.67-2.90
K  0.0013  0.0011  0.7387 [1 per cell]  7 O 2.67-2.89
K  0.0030  0.0012  0.5010 [1 per cell]  7 O 2.67-2.90
K  0.4862  0.4259  0.2505 [1 per cell]  7 O 2.67-2.91
K  0.4883  0.4269  0.7509 [1 per cell]  7 O 2.67-2.88
K  0.4877  0.4277  0.9895 [1 per cell]  7 O 2.67-2.91
K  0.4901  0.4254  0.4895 [1 per cell]  7 O 2.67-2.88
K  0.5008  0.7851  0.6197 [1 per cell]  6 O 2.74-2.85
K  0.5030  0.7861  0.1205 [1 per cell]  6 O 2.73-2.85
K  0.9866  0.6425  0.8698 [1 per cell]  6 O 2.74-2.85
K  0.9879  0.6418  0.3702 [1 per cell]  6 O 2.74-2.85
Co  0.5070  0.0671  0.3706 [1 per cell]  6 O 2.05-2.25
Co  0.5068  0.0673  0.8690 [1 per cell]  6 O 2.05-2.26
Co  0.9800  0.3586  0.1161 [1 per cell]  5 O 2.04-2.23
Co  0.9838  0.3613  0.6197 [1 per cell]  6 O 2.06-2.24
P  0.0111  0.2929  0.3711 [1 per cell]  4 O 1.55-1.57
P  0.0127  0.2931  0.8697 [1 per cell]  4 O 1.55-1.56
P  0.4774  0.1342  0.6206 [1 per cell]  4 O 1.55-1.56
P  0.4767  0.1353  0.1201 [1 per cell]  4 O 1.55-1.56
C  0.0006  0.6285  0.1194 [1 per cell]  3 O 1.29-1.31
C  0.0010  0.6289  0.6202 [1 per cell]  3 O 1.29-1.31
C  0.4870  0.7991  0.8702 [1 per cell]  3 O 1.29-1.31
C  0.4890  0.7988  0.3700 [1 per cell]  3 O 1.29-1.31
O  0.0052  0.7632  0.6203 [1 per cell]  1 C 1.29
O  0.0074  0.7629  0.1200 [1 per cell]  1 C 1.29
O  0.1946  0.5532  0.1213 [1 per cell]  1 C 1.31
O  0.1961  0.5546  0.6212 [1 per cell]  1 C 1.31
O  0.2228  0.1988  0.6199 [1 per cell]  1 P 1.56
O  0.2235  0.2019  0.1202 [1 per cell]  1 P 1.56
O  0.2643  0.2262  0.3694 [1 per cell]  1 P 1.56
O  0.2665  0.2276  0.8715 [1 per cell]  1 P 1.56
O  0.2923  0.8736  0.8674 [1 per cell]  1 C 1.31
O  0.2946  0.8737  0.3730 [1 per cell]  1 C 1.31
O  0.4824  0.6648  0.8703 [1 per cell]  1 C 1.29
O  0.4837  0.6645  0.3706 [1 per cell]  1 C 1.29
O  0.5042  0.0412  0.0296 [1 per cell]  1 P 1.56
O  0.5045  0.0416  0.2106 [1 per cell]  1 P 1.56
O  0.5046  0.0401  0.7113 [1 per cell]  1 P 1.56
O  0.5071  0.0399  0.5303 [1 per cell]  1 P 1.56
O  0.6658  0.2520  0.6210 [1 per cell]  1 P 1.55
O  0.6658  0.2530  0.1196 [1 per cell]  1 P 1.55
O  0.6874  0.8680  0.8728 [1 per cell]  1 C 1.31
O  0.6894  0.8674  0.3663 [1 per cell]  1 C 1.31
O  0.7993  0.5607  0.1171 [1 per cell]  1 C 1.31
O  0.8007  0.5599  0.6192 [1 per cell]  1 C 1.31
O  0.8216  0.1754  0.3717 [1 per cell]  1 P 1.55
O  0.8239  0.1755  0.8694 [1 per cell]  1 P 1.55
O  0.9801  0.3872  0.2814 [1 per cell]  1 P 1.56
O  0.9816  0.3878  0.9599 [1 per cell]  1 P 1.56
O  0.9873  0.3863  0.4625 [1 per cell]  1 P 1.57
O  0.9876  0.3871  0.7792 [1 per cell]  1 P 1.56

---

| no. | total magnetization (μB per formula unit) | volume (Å³ per atom) |
| --- | --- | --- |
| 1 | 0.00 | 19.050 |
| 2 | 0.00 | 18.226 |
| 3 | 0.00 | 14.550 |
| 4 | 3.00 | 14.545 |